1.
Computed, not measured: a geometry-optimized RbPO3 structure at the PBE level of DFT.

## Properties
energy of formation from the pure elements: -2.63 eV per atom
total moment: 0.001 μB per formula unit

Unit cell a=6.074 b=13.382 c=4.863 alpha=90.00 beta=90.00 gamma=90.00
Space group Cmcm (No. 63)
Symmetry-distinct sites (fractional):
Rb 0.000 0.156 0.250
P 0.000 0.422 0.250
O 0.000 0.500 0.000
O 0.213 0.366 0.250

2.
Computed, not measured: a geometry-optimized RbPO4 structure at the PBE level of DFT.

## Properties
energy of formation from the pure elements: -2.03 eV per atom
total moment: 2.000 μB per formula unit

Unit cell a=7.900 b=6.194 c=10.083 alpha=90.00 beta=109.04 gamma=90.00
Space group P2_1 (No. 4)
Symmetry-distinct sites (fractional):
Rb 0.243 0.000 0.475
Rb 0.243 0.982 0.976
P 0.258 0.485 0.238
P 0.261 0.496 0.739
O 0.096 0.503 0.792
O 0.098 0.480 0.296
O 0.170 0.411 0.084
O 0.182 0.568 0.585
O 0.327 0.719 0.246
O 0.330 0.262 0.752
O 0.404 0.329 0.326
O 0.405 0.652 0.830

3.
Computed, not measured: a geometry-optimized RbPO3 structure at the PBE level of DFT.

## Properties
energy of formation from the pure elements: -2.67 eV per atom

Unit cell a=4.576 b=6.208 c=13.157 alpha=90.00 beta=90.00 gamma=90.00
Space group Pnma (No. 62)
Symmetry-distinct sites (fractional):
Rb 0.228 0.250 0.092
P 0.181 0.750 0.324
O 0.159 0.250 0.713
O 0.235 0.541 0.379

Number 1: mass density 2.76 g/cm³, uncorrected energy -6.47 eV/atom. Number 2: mass density 2.57 g/cm³, uncorrected energy -5.93 eV/atom. Number 3: mass density 2.92 g/cm³, uncorrected energy -6.51 eV/atom.